Entry 1:
Density functional theory data (GGA-PBE) for a geometry-optimized Y5Si10Ir4 structure.

Lattice parameters (Å, degrees): 12.6616 12.6616 4.2852 90.00 90.00 90.00
Sites, in units of the cell vectors:
1 Y 0.0000 0.0000 0.0000
2 Y 0.1164 0.3836 0.5000
3 Y 0.1758 0.6758 0.5000
4 Y 0.3242 0.1758 0.5000
5 Y 0.3836 0.8836 0.5000
6 Y 0.5000 0.5000 0.0000
7 Y 0.6164 0.1164 0.5000
8 Y 0.6758 0.8242 0.5000
9 Y 0.8242 0.3242 0.5000
10 Y 0.8836 0.6164 0.5000
11 Si 0.0033 0.8427 0.5000
12 Si 0.0661 0.5661 0.0000
13 Si 0.1573 0.0033 0.5000
14 Si 0.1635 0.2004 0.0000
15 Si 0.2004 0.8365 0.0000
16 Si 0.2996 0.3365 0.0000
17 Si 0.3365 0.7004 0.0000
18 Si 0.3427 0.5033 0.5000
19 Si 0.4339 0.0661 0.0000
20 Si 0.4967 0.3427 0.5000
21 Si 0.5033 0.6573 0.5000
22 Si 0.5661 0.9339 0.0000
23 Si 0.6573 0.4967 0.5000
24 Si 0.6635 0.2996 0.0000
25 Si 0.7004 0.6635 0.0000
26 Si 0.7996 0.1635 0.0000
27 Si 0.8365 0.7996 0.0000
28 Si 0.8427 0.9967 0.5000
29 Si 0.9339 0.4339 0.0000
30 Si 0.9967 0.1573 0.5000
31 Ir 0.0205 0.7546 0.0000
32 Ir 0.2454 0.0205 0.0000
33 Ir 0.2546 0.5205 0.0000
34 Ir 0.4795 0.2546 0.0000
35 Ir 0.5205 0.7454 0.0000
36 Ir 0.7454 0.4795 0.0000
37 Ir 0.7546 0.9795 0.0000
38 Ir 0.9795 0.2454 0.0000

Calculated values
ΔE_f: -0.897 eV/atom
E: -7.31 eV/atom
magnetic moment: 0.00 Bohr magnetons per cell


Entry 2:
Density functional theory data (GGA-PBE) for a geometry-optimized Mg6MnSi structure.

Lattice parameters (Å, degrees): 4.8785 6.1185 10.6580 90.00 90.00 90.00
Sites, in units of the cell vectors:
1 Mg 0.5000 0.2490 0.4165
2 Mg 0.5000 0.7510 0.4165
3 Mg 0.0000 0.7528 0.0862
4 Mg 0.0000 0.2472 0.0862
5 Mg 0.0000 0.0000 0.3283
6 Mg 0.0000 0.5000 0.3298
7 Mg 0.5000 0.7490 0.9165
8 Mg 0.5000 0.2510 0.9165
9 Mg 0.0000 0.2528 0.5862
10 Mg 0.0000 0.7472 0.5862
11 Mg 0.0000 0.5000 0.8283
12 Mg 0.0000 0.0000 0.8298
13 Mn 0.5000 0.0000 0.1682
14 Mn 0.5000 0.5000 0.6682
15 Si 0.5000 0.5000 0.1684
16 Si 0.5000 0.0000 0.6684

Calculated values
offset from the most stable computed form: 5 meV per atom
ΔE_f: 0.129 eV/atom
E: -2.90 eV/atom
magnetic moment: 7.33 Bohr magnetons per cell


Entry 3:
Density functional theory data (GGA-PBE) for a geometry-optimized ThFeNi4 structure.

Lattice parameters (Å, degrees): 4.9524 4.9524 4.0132 90.00 90.00 120.00
Sites, in units of the cell vectors:
1 Th 0.0000 0.0000 0.0000
2 Fe 0.3333 0.6667 0.0000
3 Ni 0.0003 0.5001 0.5000
4 Ni 0.4999 0.9997 0.5000
5 Ni 0.4999 0.5001 0.5000
6 Ni 0.6667 0.3333 0.0000

Calculated values
ΔE_f: -0.302 eV/atom
E: -6.80 eV/atom
magnetic moment: 3.26 Bohr magnetons per cell


Entry 4:
Density functional theory data (GGA-PBE) for a geometry-optimized SrHo2Al2O7 structure.

Lattice parameters (Å, degrees): 10.1140 10.1140 10.1140 158.79 158.79 30.18
Sites, in units of the cell vectors:
1 Sr 0.0000 0.0000 0.0000
2 Ho 0.1822 0.1822 0.0000
3 Ho 0.8178 0.8178 0.0000
4 Al 0.4025 0.4025 0.0000
5 Al 0.5975 0.5975 0.0000
6 O 0.1068 0.6068 0.5000
7 O 0.2944 0.2944 0.0000
8 O 0.3932 0.8932 0.5000
9 O 0.5000 0.5000 0.0000
10 O 0.6068 0.1068 0.5000
11 O 0.7056 0.7056 0.0000
12 O 0.8932 0.3932 0.5000

Calculated values
ΔE_f: -3.651 eV/atom
E: -7.67 eV/atom
magnetic moment: 0.00 Bohr magnetons per cell


Entry 5:
Density functional theory data (GGA-PBE) for a geometry-optimized Cr2P structure.

Lattice parameters (Å, degrees): 6.8434 6.8434 6.8434 122.80 83.48 124.87
Sites, in units of the cell vectors:
1 Cr 0.0000 0.0000 0.0000
2 Cr 0.1037 0.3158 0.7879
3 Cr 0.1848 0.8997 0.2851
4 Cr 0.2910 0.5861 0.2951
5 Cr 0.2910 0.9959 0.7049
6 Cr 0.5279 0.3158 0.2121
7 Cr 0.5513 0.4681 0.6664
8 Cr 0.5513 0.8849 0.0832
9 Cr 0.6147 0.8997 0.7149
10 Cr 0.8017 0.4681 0.9168
11 Cr 0.8017 0.8849 0.3336
12 Cr 0.9218 0.4218 0.5000
13 P 0.2130 0.3205 0.4374
14 P 0.2130 0.7756 0.8926
15 P 0.4689 0.4689 0.0000
16 P 0.5752 0.0752 0.5000
17 P 0.8830 0.3205 0.1074
18 P 0.8830 0.7756 0.5626

Calculated values
ΔE_f: -0.394 eV/atom
E: -8.63 eV/atom
magnetic moment: 3.49 Bohr magnetons per cell


Entry 6:
Density functional theory data (GGA-PBE) for a geometry-optimized Ho5Ti5O17 structure.

Lattice parameters (Å, degrees): 3.8333 5.4509 31.7494 90.00 90.00 90.00
Sites, in units of the cell vectors:
1 Ho 0.0000 0.1770 0.0000
2 Ho 0.0000 0.2304 0.2231
3 Ho 0.0000 0.3216 0.4481
4 Ho 0.0000 0.7043 0.3213
5 Ho 0.0000 0.7640 0.1293
6 Ho 0.5000 0.2360 0.6293
7 Ho 0.5000 0.2957 0.8213
8 Ho 0.5000 0.6784 0.9481
9 Ho 0.5000 0.7696 0.7231
10 Ho 0.5000 0.8230 0.5000
11 Ti 0.0000 0.2169 0.8989
12 Ti 0.0000 0.2429 0.7267
13 Ti 0.0000 0.2740 0.5496
14 Ti 0.0000 0.7422 0.8124
15 Ti 0.0000 0.7464 0.6357
16 Ti 0.5000 0.2536 0.1357
17 Ti 0.5000 0.2578 0.3124
18 Ti 0.5000 0.7260 0.0496
19 Ti 0.5000 0.7571 0.2267
20 Ti 0.5000 0.7831 0.3989
21 O 0.0000 0.0375 0.8428
22 O 0.0000 0.0473 0.5005
23 O 0.0000 0.0469 0.6718
24 O 0.0000 0.2929 0.3014
25 O 0.0000 0.3016 0.1473
26 O 0.0000 0.3881 0.7809
27 O 0.0000 0.4266 0.6069
28 O 0.0000 0.4472 0.9482
29 O 0.0000 0.5168 0.8577
30 O 0.0000 0.5402 0.6974
31 O 0.0000 0.5409 0.5119
32 O 0.0000 0.7451 0.3939
33 O 0.0000 0.7733 0.0566
34 O 0.0000 0.8051 0.2271
35 O 0.0000 0.8968 0.7551
36 O 0.0000 0.9491 0.9379
37 O 0.0000 0.9542 0.5915
38 O 0.5000 0.0458 0.0915
39 O 0.5000 0.0509 0.4379
40 O 0.5000 0.1032 0.2551
41 O 0.5000 0.1949 0.7271
42 O 0.5000 0.2267 0.5566
43 O 0.5000 0.2549 0.8939
44 O 0.5000 0.4591 0.0119
45 O 0.5000 0.4598 0.1974
46 O 0.5000 0.4832 0.3577
47 O 0.5000 0.5528 0.4482
48 O 0.5000 0.5734 0.1069
49 O 0.5000 0.6119 0.2809
50 O 0.5000 0.6984 0.6473
51 O 0.5000 0.7071 0.8014
52 O 0.5000 0.9527 0.0005
53 O 0.5000 0.9531 0.1718
54 O 0.5000 0.9625 0.3428

Calculated values
ΔE_f: -3.700 eV/atom
E: -8.69 eV/atom
magnetic moment: 0.92 Bohr magnetons per cell


Entry 7:
Density functional theory data (GGA-PBE) for a geometry-optimized BaH2O2 structure.

Lattice parameters (Å, degrees): 7.0744 8.2564 10.6082 90.00 121.66 90.00
Sites, in units of the cell vectors:
1 Ba 0.0702 0.0462 0.3349
2 Ba 0.0702 0.4538 0.8349
3 Ba 0.3519 0.6245 0.5930
4 Ba 0.3519 0.8755 0.0930
5 Ba 0.6481 0.1245 0.9070
6 Ba 0.6481 0.3755 0.4070
7 Ba 0.9298 0.5462 0.1651
8 Ba 0.9298 0.9538 0.6651
9 H 0.1708 0.2436 0.6491
10 H 0.1708 0.2564 0.1491
11 H 0.1982 0.1558 0.9707
12 H 0.1982 0.3442 0.4707
13 H 0.3318 0.6040 0.2161
14 H 0.3318 0.8960 0.7161
15 H 0.4465 0.6949 0.8955
16 H 0.4465 0.8051 0.3955
17 H 0.5535 0.1949 0.6045
18 H 0.5535 0.3051 0.1045
19 H 0.6682 0.1040 0.2839
20 H 0.6682 0.3960 0.7839
21 H 0.8018 0.6558 0.5293
22 H 0.8018 0.8442 0.0293
23 H 0.8292 0.7436 0.8509
24 H 0.8292 0.7564 0.3509
25 O 0.1037 0.1545 0.0984
26 O 0.1037 0.3455 0.5984
27 O 0.2549 0.1418 0.9028
28 O 0.2549 0.3582 0.4028
29 O 0.2899 0.7192 0.8259
30 O 0.2899 0.7808 0.3259
31 O 0.3029 0.5293 0.1353
32 O 0.3029 0.9707 0.6353
33 O 0.6971 0.0293 0.3647
34 O 0.6971 0.4707 0.8647
35 O 0.7101 0.2192 0.6741
36 O 0.7101 0.2808 0.1741
37 O 0.7451 0.6418 0.5972
38 O 0.7451 0.8582 0.0972
39 O 0.8963 0.6545 0.4016
40 O 0.8963 0.8455 0.9016

Calculated values
ΔE_f: -2.034 eV/atom
E: -5.48 eV/atom
magnetic moment: 0.00 Bohr magnetons per cell


Entry 8:
Density functional theory data (GGA-PBE) for a geometry-optimized Cs2TlGaI6 structure.

Lattice parameters (Å, degrees): 8.7230 8.7230 8.7230 60.00 60.00 60.00
Sites, in units of the cell vectors:
1 Cs 0.2500 0.2500 0.2500
2 Cs 0.7500 0.7500 0.7500
3 Tl 0.0000 0.0000 0.0000
4 Ga 0.5000 0.5000 0.5000
5 I 0.2701 0.2701 0.7299
6 I 0.2701 0.7299 0.2701
7 I 0.2701 0.7299 0.7299
8 I 0.7299 0.2701 0.2701
9 I 0.7299 0.2701 0.7299
10 I 0.7299 0.7299 0.2701

Calculated values
ΔE_f: -1.127 eV/atom
E: -2.53 eV/atom
magnetic moment: 0.00 Bohr magnetons per cell


Entry 9:
Density functional theory data (GGA-PBE) for a geometry-optimized Zr2Co21B6 structure.

Lattice parameters (Å, degrees): 7.4927 7.4927 7.4927 60.00 60.00 60.00
Sites, in units of the cell vectors:
1 Zr 0.2500 0.2500 0.2500
2 Zr 0.7500 0.7500 0.7500
3 Co 0.0000 0.0000 0.0000
4 Co 0.0000 0.0000 0.3366
5 Co 0.0000 0.0000 0.6634
6 Co 0.0000 0.3366 0.0000
7 Co 0.0000 0.3366 0.6634
8 Co 0.0000 0.6634 0.0000
9 Co 0.0000 0.6634 0.3366
10 Co 0.1577 0.6141 0.6141
11 Co 0.3366 0.0000 0.0000
12 Co 0.3366 0.0000 0.6634
13 Co 0.3366 0.6634 0.0000
14 Co 0.3859 0.3859 0.3859
15 Co 0.3859 0.3859 0.8423
16 Co 0.3859 0.8423 0.3859
17 Co 0.6141 0.1577 0.6141
18 Co 0.6141 0.6141 0.1577
19 Co 0.6141 0.6141 0.6141
20 Co 0.6634 0.0000 0.0000
21 Co 0.6634 0.0000 0.3366
22 Co 0.6634 0.3366 0.0000
23 Co 0.8423 0.3859 0.3859
24 B 0.2736 0.2736 0.7264
25 B 0.2736 0.7264 0.2736
26 B 0.2736 0.7264 0.7264
27 B 0.7264 0.2736 0.2736
28 B 0.7264 0.2736 0.7264
29 B 0.7264 0.7264 0.2736

Calculated values
ΔE_f: -0.277 eV/atom
E: -7.40 eV/atom
magnetic moment: 19.89 Bohr magnetons per cell


Entry 10:
Density functional theory data (GGA-PBE) for a geometry-optimized ZrAlV structure.

Lattice parameters (Å, degrees): 8.7666 5.2420 5.2420 60.15 90.00 90.00
Sites, in units of the cell vectors:
1 Zr 0.1855 0.0000 0.0000
2 Zr 0.3126 0.6640 0.6640
3 Zr 0.6874 0.6640 0.6640
4 Zr 0.8145 0.0000 0.0000
5 Al 0.2455 0.3275 0.3275
6 Al 0.5000 0.1622 0.6711
7 Al 0.5000 0.6711 0.1622
8 Al 0.7545 0.3275 0.3275
9 V 0.0000 0.5038 0.5038
10 V 0.0000 0.5088 0.9769
11 V 0.0000 0.9769 0.5088
12 V 0.5000 0.1618 0.1618

Calculated values
ΔE_f: -0.275 eV/atom
E: -7.40 eV/atom
magnetic moment: 0.01 Bohr magnetons per cell


Entry 11:
Density functional theory data (GGA-PBE) for a geometry-optimized Mn2Sb structure.

Lattice parameters (Å, degrees): 3.9284 3.9284 6.4256 90.00 90.00 90.00
Sites, in units of the cell vectors:
1 Mn 0.2500 0.2500 0.2098
2 Mn 0.2500 0.7500 0.5000
3 Mn 0.7500 0.2500 0.5000
4 Mn 0.7500 0.7500 0.7902
5 Sb 0.2500 0.2500 0.7849
6 Sb 0.7500 0.7500 0.2151

Calculated values
ΔE_f: -0.038 eV/atom
E: -7.46 eV/atom


Entry 12:
Density functional theory data (GGA-PBE) for a geometry-optimized Sn3S7 structure.

Lattice parameters (Å, degrees): 13.2879 13.2879 16.0627 105.68 105.68 59.97
Sites, in units of the cell vectors:
1 Sn 0.0330 0.9670 0.5000
2 Sn 0.1109 0.7233 0.9769
3 Sn 0.1250 0.4474 0.9768
4 Sn 0.2997 0.9794 0.5013
5 Sn 0.3114 0.7006 0.5003
6 Sn 0.3896 0.4605 0.9801
7 Sn 0.4474 0.1250 0.4768
8 Sn 0.4605 0.3896 0.4801
9 Sn 0.7006 0.3114 0.0003
10 Sn 0.7233 0.1109 0.4769
11 Sn 0.9670 0.0330 0.0000
12 Sn 0.9794 0.2997 0.0013
13 S 0.0323 0.3207 0.8751
14 S 0.0807 0.8814 0.1043
15 S 0.0846 0.4130 0.1049
16 S 0.1086 0.1123 0.5525
17 S 0.1123 0.1086 0.0525
18 S 0.1316 0.7877 0.5673
19 S 0.1913 0.8576 0.3935
20 S 0.2316 0.5666 0.0854
21 S 0.2977 0.6496 0.9251
22 S 0.3044 0.3265 0.9078
23 S 0.3207 0.0323 0.3751
24 S 0.3265 0.3044 0.4078
25 S 0.3721 0.5411 0.3761
26 S 0.4110 0.5504 0.6048
27 S 0.4130 0.0846 0.6049
28 S 0.4420 0.7935 0.5571
29 S 0.5411 0.3721 0.8761
30 S 0.5504 0.4110 0.1048
31 S 0.5666 0.2316 0.5854
32 S 0.6265 0.9849 0.4128
33 S 0.6496 0.2977 0.4251
34 S 0.7877 0.1316 0.0673
35 S 0.7935 0.4420 0.0571
36 S 0.8576 0.1913 0.8935
37 S 0.8759 0.9876 0.3735
38 S 0.8814 0.0807 0.6043
39 S 0.9849 0.6265 0.9128
40 S 0.9876 0.8759 0.8735

Calculated values
ΔE_f: -0.368 eV/atom
E: -4.11 eV/atom
magnetic moment: 8.01 Bohr magnetons per cell